# 1
A relaxed structure of BeO. Source: Materials Project, functional GGA-PBE.

Structure (CIF):
```
data_BeO
_cell_length_a 9.1874
_cell_length_b 9.2466
_cell_length_c 10.7167
_cell_angle_alpha 91.78
_cell_angle_beta 90.00
_cell_angle_gamma 91.80
_symmetry_space_group_name_H-M 'P 1'
_symmetry_Int_Tables_number 1
loop_
_symmetry_equiv_pos_as_xyz
'x,y,z'
loop_
_atom_site_label
_atom_site_type_symbol
_atom_site_fract_x
_atom_site_fract_y
_atom_site_fract_z
Be1 Be 0.0000 0.0000 0.0000
Be2 Be 0.0019 0.6221 0.1642
Be3 Be 0.0311 0.9342 0.2582
Be4 Be 0.0416 0.2725 0.9589
Be5 Be 0.0433 0.4924 0.7571
Be6 Be 0.0584 0.7452 0.9243
Be7 Be 0.0638 0.6055 0.5382
Be8 Be 0.1076 0.0592 0.7282
Be9 Be 0.1329 0.3520 0.5198
Be10 Be 0.1722 0.0733 0.4600
Be11 Be 0.1873 0.8946 0.0816
Be12 Be 0.1922 0.4572 0.2943
Be13 Be 0.2304 0.7917 0.4258
Be14 Be 0.2327 0.3000 0.8461
Be15 Be 0.2409 0.2970 0.1338
Be16 Be 0.2416 0.7969 0.6674
Be17 Be 0.2597 0.6622 0.0926
Be18 Be 0.3328 0.5507 0.5308
Be19 Be 0.3370 0.8682 0.8880
Be20 Be 0.3558 0.1533 0.9920
Be21 Be 0.3627 0.1296 0.6482
Be22 Be 0.3788 0.4978 0.0031
Be23 Be 0.3850 0.8823 0.2615
Be24 Be 0.4526 0.0651 0.4148
Be25 Be 0.4570 0.6580 0.7391
Be26 Be 0.4922 0.3895 0.1613
Be27 Be 0.5241 0.1584 0.2023
Be28 Be 0.5367 0.4287 0.8506
Be29 Be 0.5404 0.0482 0.8191
Be30 Be 0.5509 0.7793 0.3844
Be31 Be 0.5519 0.6615 0.9747
Be32 Be 0.6173 0.9092 0.1328
Be33 Be 0.6235 0.5050 0.6839
Be34 Be 0.6446 0.2314 0.6610
Be35 Be 0.6962 0.9294 0.5075
Be36 Be 0.7346 0.4884 0.1165
Be37 Be 0.7462 0.8879 0.9399
Be38 Be 0.7556 0.3292 0.2792
Be39 Be 0.7640 0.1180 0.4204
Be40 Be 0.7675 0.7597 0.2379
Be41 Be 0.7804 0.6923 0.5676
Be42 Be 0.7960 0.1769 0.1251
Be43 Be 0.8307 0.4062 0.5321
Be44 Be 0.8367 0.9393 0.7604
Be45 Be 0.8392 0.1363 0.8551
Be46 Be 0.9155 0.1358 0.5788
Be47 Be 0.9281 0.5737 0.3485
Be48 Be 0.9438 0.8609 0.4295
Be49 Be 0.9855 0.2702 0.3263
Be50 Be 0.9943 0.7830 0.7154
O1 O 0.0402 0.4577 0.6065
O2 O 0.0529 0.6574 0.7885
O3 O 0.0605 0.1972 0.4908
O4 O 0.0666 0.9894 0.1320
O5 O 0.0680 0.3738 0.8506
O6 O 0.0833 0.6588 0.0478
O7 O 0.0848 0.5904 0.2874
O8 O 0.1152 0.9021 0.6775
O9 O 0.1196 0.9213 0.3942
O10 O 0.1251 0.3021 0.2458
O11 O 0.1771 0.8848 0.9365
O12 O 0.1936 0.2174 0.9928
O13 O 0.2165 0.6891 0.5469
O14 O 0.2336 0.1731 0.7362
O15 O 0.2502 0.4376 0.4423
O16 O 0.2853 0.8129 0.1642
O17 O 0.3072 0.4779 0.1451
O18 O 0.3273 0.0910 0.5103
O19 O 0.3727 0.7982 0.7529
O20 O 0.3752 0.6653 0.9799
O21 O 0.3784 0.3872 0.8868
O22 O 0.3867 0.7965 0.3874
O23 O 0.4133 0.2371 0.1098
O24 O 0.4210 0.0453 0.2742
O25 O 0.4230 0.0220 0.9191
O26 O 0.4538 0.5472 0.6265
O27 O 0.5223 0.1150 0.6915
O28 O 0.5779 0.4999 0.0572
O29 O 0.5780 0.6010 0.8262
O30 O 0.5829 0.3232 0.2717
O31 O 0.6070 0.8064 0.2488
O32 O 0.6117 0.0483 0.4487
O33 O 0.6409 0.3537 0.7591
O34 O 0.6430 0.8041 0.0171
O35 O 0.6562 0.7708 0.4941
O36 O 0.6574 0.0719 0.1251
O37 O 0.7083 0.0157 0.8442
O38 O 0.7508 0.5304 0.5958
O39 O 0.7798 0.2416 0.5621
O40 O 0.8067 0.3462 0.1317
O41 O 0.8280 0.6102 0.1980
O42 O 0.8327 0.8013 0.6852
O43 O 0.8428 0.1722 0.2973
O44 O 0.8592 0.9916 0.5014
O45 O 0.8787 0.4155 0.3847
O46 O 0.8906 0.8563 0.2872
O47 O 0.9122 0.8755 0.9183
O48 O 0.9140 0.1554 0.9831
O49 O 0.9342 0.0954 0.7344
O50 O 0.9371 0.6901 0.4760
```

total energy after the MP2020 corrections = -14.24 eV/f.u.
V = 9.1 A^3/atom

***

# 2
A relaxed structure of BeO. Source: Materials Project, functional GGA-PBE.

Structure (CIF):
```
data_BeO
_cell_length_a 2.7040
_cell_length_b 2.7040
_cell_length_c 2.7040
_cell_angle_alpha 60.00
_cell_angle_beta 60.00
_cell_angle_gamma 60.00
_symmetry_space_group_name_H-M 'P 1'
_symmetry_Int_Tables_number 1
loop_
_symmetry_equiv_pos_as_xyz
'x,y,z'
loop_
_atom_site_label
_atom_site_type_symbol
_atom_site_fract_x
_atom_site_fract_y
_atom_site_fract_z
Be1 Be 0.0000 0.0000 0.0000
O1 O 0.2500 0.2500 0.2500
```

total energy after the MP2020 corrections = -14.88 eV/f.u.
piezoelectric modulus e_max = 0.09 C/m2
V = 7.0 A^3/atom

***

# 3
A relaxed structure of BeO. Source: Materials Project, functional GGA-PBE.

Structure (CIF):
```
data_BeO
_cell_length_a 9.4507
_cell_length_b 9.4817
_cell_length_c 9.5974
_cell_angle_alpha 89.29
_cell_angle_beta 89.67
_cell_angle_gamma 89.17
_symmetry_space_group_name_H-M 'P 1'
_symmetry_Int_Tables_number 1
loop_
_symmetry_equiv_pos_as_xyz
'x,y,z'
loop_
_atom_site_label
_atom_site_type_symbol
_atom_site_fract_x
_atom_site_fract_y
_atom_site_fract_z
Be1 Be 0.0000 0.0000 0.0000
Be2 Be 0.0010 0.9777 0.4705
Be3 Be 0.0018 0.2606 0.0928
Be4 Be 0.0047 0.1197 0.7407
Be5 Be 0.0177 0.4461 0.6701
Be6 Be 0.0224 0.8236 0.6420
Be7 Be 0.0265 0.7592 0.9902
Be8 Be 0.0602 0.6778 0.4088
Be9 Be 0.0918 0.4836 0.9334
Be10 Be 0.0993 0.5224 0.1586
Be11 Be 0.1076 0.0428 0.2372
Be12 Be 0.1844 0.6202 0.6658
Be13 Be 0.2038 0.9656 0.6700
Be14 Be 0.2097 0.7697 0.1774
Be15 Be 0.2108 0.1598 0.4307
Be16 Be 0.2274 0.4604 0.5091
Be17 Be 0.2333 0.3238 0.2760
Be18 Be 0.2809 0.9082 0.4069
Be19 Be 0.2931 0.9191 0.9346
Be20 Be 0.2994 0.4275 0.7632
Be21 Be 0.3186 0.3612 0.0249
Be22 Be 0.3599 0.1440 0.8478
Be23 Be 0.3649 0.7572 0.6057
Be24 Be 0.3742 0.0463 0.1794
Be25 Be 0.3956 0.5360 0.1203
Be26 Be 0.4367 0.0954 0.5573
Be27 Be 0.4515 0.7493 0.3280
Be28 Be 0.4548 0.2673 0.3159
Be29 Be 0.4945 0.8010 0.1080
Be30 Be 0.5148 0.5555 0.6296
Be31 Be 0.5327 0.9999 0.9874
Be32 Be 0.5623 0.2728 0.6520
Be33 Be 0.5925 0.7854 0.7945
Be34 Be 0.5963 0.3900 0.8998
Be35 Be 0.6240 0.1648 0.4505
Be36 Be 0.6241 0.9088 0.3533
Be37 Be 0.6363 0.6230 0.9913
Be38 Be 0.6377 0.0331 0.6592
Be39 Be 0.6742 0.6525 0.2548
Be40 Be 0.7168 0.5245 0.7109
Be41 Be 0.7275 0.3409 0.2365
Be42 Be 0.7299 0.1084 0.1972
Be43 Be 0.7533 0.4759 0.4335
Be44 Be 0.7646 0.8839 0.1203
Be45 Be 0.7692 0.1367 0.9310
Be46 Be 0.8448 0.9006 0.8349
Be47 Be 0.8567 0.2647 0.5745
Be48 Be 0.8809 0.6353 0.8461
Be49 Be 0.8860 0.3480 0.8487
Be50 Be 0.9607 0.2746 0.3214
O1 O 0.0102 0.3380 0.9510
O2 O 0.0335 0.9998 0.6327
O3 O 0.0430 0.1124 0.3769
O4 O 0.0670 0.1021 0.0973
O5 O 0.0769 0.3601 0.2178
O6 O 0.0906 0.5585 0.5349
O7 O 0.1054 0.6521 0.2542
O8 O 0.1472 0.4972 0.7751
O9 O 0.1755 0.8279 0.0139
O10 O 0.2034 0.9142 0.2661
O11 O 0.2081 0.7850 0.6741
O12 O 0.2114 0.3225 0.4440
O13 O 0.2287 0.5000 0.0399
O14 O 0.2413 0.0287 0.8125
O15 O 0.2826 0.0307 0.5253
O16 O 0.3117 0.1589 0.2840
O17 O 0.3396 0.3117 0.8726
O18 O 0.3418 0.5102 0.6170
O19 O 0.3455 0.7676 0.4477
O20 O 0.3784 0.3842 0.2046
O21 O 0.3859 0.6901 0.1815
O22 O 0.3910 0.0830 0.0162
O23 O 0.4733 0.8495 0.9441
O24 O 0.4820 0.2547 0.4933
O25 O 0.4820 0.9271 0.2261
O26 O 0.4886 0.1267 0.7204
O27 O 0.4942 0.7149 0.6868
O28 O 0.5347 0.4975 0.0130
O29 O 0.5702 0.4180 0.7404
O30 O 0.5767 0.0045 0.4937
O31 O 0.6095 0.7418 0.3673
O32 O 0.6189 0.2176 0.2834
O33 O 0.6640 0.7348 0.1085
O34 O 0.6739 0.5383 0.5544
O35 O 0.6828 0.0461 0.0366
O36 O 0.6929 0.9218 0.7677
O37 O 0.7030 0.6491 0.8468
O38 O 0.7164 0.4975 0.2748
O39 O 0.7186 0.1856 0.5991
O40 O 0.7354 0.2919 0.9045
O41 O 0.7622 0.9610 0.2688
O42 O 0.8500 0.2402 0.1856
O43 O 0.8684 0.3513 0.4396
O44 O 0.8771 0.4926 0.7502
O45 O 0.9009 0.8679 0.0246
O46 O 0.9123 0.0649 0.8662
O47 O 0.9429 0.7766 0.7762
O48 O 0.9798 0.2722 0.6824
O49 O 0.9830 0.6035 0.9858
O50 O 0.9983 0.8140 0.4737
```

total energy after the MP2020 corrections = -14.27 eV/f.u.
V = 8.6 A^3/atom

***

# 4
A relaxed structure of BeO. Source: Materials Project, functional GGA-PBE.

Structure (CIF):
```
data_BeO
_cell_length_a 8.9821
_cell_length_b 9.4111
_cell_length_c 9.8407
_cell_angle_alpha 96.07
_cell_angle_beta 90.96
_cell_angle_gamma 91.77
_symmetry_space_group_name_H-M 'P 1'
_symmetry_Int_Tables_number 1
loop_
_symmetry_equiv_pos_as_xyz
'x,y,z'
loop_
_atom_site_label
_atom_site_type_symbol
_atom_site_fract_x
_atom_site_fract_y
_atom_site_fract_z
Be1 Be 0.0000 0.0000 0.0000
Be2 Be 0.0009 0.4661 0.2239
Be3 Be 0.0839 0.7313 0.9006
Be4 Be 0.1016 0.3440 0.4176
Be5 Be 0.1173 0.9365 0.4367
Be6 Be 0.1242 0.6562 0.3192
Be7 Be 0.1703 0.1451 0.6084
Be8 Be 0.1762 0.5395 0.0179
Be9 Be 0.1780 0.5062 0.6315
Be10 Be 0.2212 0.2989 0.8168
Be11 Be 0.2333 0.9911 0.0753
Be12 Be 0.2391 0.2477 0.0213
Be13 Be 0.2858 0.8773 0.3051
Be14 Be 0.2995 0.4298 0.2505
Be15 Be 0.3091 0.7317 0.5415
Be16 Be 0.3361 0.6128 0.7842
Be17 Be 0.3517 0.1974 0.2627
Be18 Be 0.3963 0.2770 0.4751
Be19 Be 0.3994 0.7142 0.0554
Be20 Be 0.4078 0.0039 0.5836
Be21 Be 0.4260 0.0405 0.8721
Be22 Be 0.4270 0.6532 0.3528
Be23 Be 0.4415 0.3601 0.6788
Be24 Be 0.4580 0.9475 0.1603
Be25 Be 0.5183 0.2712 0.9197
Be26 Be 0.5405 0.4937 0.1231
Be27 Be 0.5592 0.8223 0.7707
Be28 Be 0.5680 0.3992 0.3816
Be29 Be 0.5770 0.5804 0.6001
Be30 Be 0.5965 0.5372 0.8607
Be31 Be 0.6111 0.0913 0.3815
Be32 Be 0.6373 0.8191 0.5001
Be33 Be 0.6784 0.0239 0.6360
Be34 Be 0.6904 0.7310 0.9883
Be35 Be 0.7126 0.2583 0.7875
Be36 Be 0.7183 0.0140 0.9117
Be37 Be 0.7179 0.8230 0.2353
Be38 Be 0.7674 0.3282 0.0478
Be39 Be 0.7754 0.0704 0.2144
Be40 Be 0.7964 0.6064 0.3506
Be41 Be 0.8187 0.2931 0.3034
Be42 Be 0.8426 0.6311 0.7529
Be43 Be 0.8673 0.8762 0.7616
Be44 Be 0.8702 0.6018 0.0273
Be45 Be 0.8858 0.1329 0.5128
Be46 Be 0.8906 0.5009 0.5097
Be47 Be 0.9373 0.1672 0.7912
Be48 Be 0.9817 0.4125 0.9503
Be49 Be 0.9910 0.1708 0.1677
Be50 Be 0.9931 0.8509 0.1626
O1 O 0.0013 0.3080 0.2867
O2 O 0.0224 0.5883 0.9528
O3 O 0.0398 0.4253 0.5501
O4 O 0.0478 0.0752 0.4977
O5 O 0.0955 0.8634 0.0229
O6 O 0.0994 0.1894 0.7429
O7 O 0.0988 0.8291 0.2976
O8 O 0.1161 0.1266 0.0531
O9 O 0.1516 0.3727 0.9563
O10 O 0.1655 0.5313 0.1853
O11 O 0.2361 0.6634 0.6654
O12 O 0.2633 0.3239 0.3863
O13 O 0.2637 0.6380 0.4055
O14 O 0.2811 0.9040 0.4869
O15 O 0.2828 0.6527 0.9428
O16 O 0.2883 0.4269 0.7303
O17 O 0.3087 0.0274 0.2383
O18 O 0.3303 0.2955 0.1495
O19 O 0.3491 0.1760 0.5906
O20 O 0.3523 0.2033 0.8912
O21 O 0.3919 0.9600 0.0084
O22 O 0.4004 0.7811 0.2147
O23 O 0.4430 0.9413 0.7302
O24 O 0.4792 0.5053 0.2745
O25 O 0.5031 0.4200 0.5409
O26 O 0.5050 0.7048 0.5079
O27 O 0.5096 0.2222 0.3534
O28 O 0.5168 0.6416 0.7578
O29 O 0.5470 0.6274 0.0339
O30 O 0.5730 0.3679 0.7901
O31 O 0.5752 0.9964 0.5036
O32 O 0.5992 0.3624 0.0438
O33 O 0.6211 0.1314 0.8685
O34 O 0.6294 0.9704 0.2240
O35 O 0.6547 0.8623 0.9141
O36 O 0.7251 0.8697 0.6606
O37 O 0.7283 0.7570 0.3685
O38 O 0.7433 0.4376 0.3683
O39 O 0.7610 0.5981 0.8889
O40 O 0.7738 0.5710 0.6120
O41 O 0.7858 0.1489 0.3839
O42 O 0.7994 0.2103 0.1436
O43 O 0.8004 0.1527 0.6562
O44 O 0.8218 0.7496 0.1176
O45 O 0.8590 0.3020 0.8806
O46 O 0.8822 0.4589 0.1006
O47 O 0.8930 0.0179 0.8703
O48 O 0.9270 0.0042 0.1715
O49 O 0.9649 0.5853 0.3583
O50 O 0.9657 0.7534 0.7766
```

total energy after the MP2020 corrections = -14.36 eV/f.u.
V = 8.3 A^3/atom

***

# 5
A relaxed structure of BeO. Source: Materials Project, functional GGA-PBE.

Structure (CIF):
```
data_BeO
_cell_length_a 8.8940
_cell_length_b 9.1331
_cell_length_c 9.8951
_cell_angle_alpha 90.89
_cell_angle_beta 90.85
_cell_angle_gamma 92.04
_symmetry_space_group_name_H-M 'P 1'
_symmetry_Int_Tables_number 1
loop_
_symmetry_equiv_pos_as_xyz
'x,y,z'
loop_
_atom_site_label
_atom_site_type_symbol
_atom_site_fract_x
_atom_site_fract_y
_atom_site_fract_z
Be1 Be 0.0000 0.0000 0.0000
Be2 Be 0.0002 0.2665 0.1425
Be3 Be 0.0281 0.9892 0.2628
Be4 Be 0.0502 0.4111 0.3859
Be5 Be 0.0519 0.6590 0.2366
Be6 Be 0.0644 0.1739 0.7438
Be7 Be 0.0754 0.7663 0.8515
Be8 Be 0.0793 0.1778 0.5037
Be9 Be 0.0962 0.4230 0.6596
Be10 Be 0.1111 0.4272 0.9177
Be11 Be 0.1956 0.6852 0.6535
Be12 Be 0.2337 0.8697 0.1082
Be13 Be 0.2380 0.5978 0.0234
Be14 Be 0.2407 0.9614 0.6369
Be15 Be 0.2458 0.8116 0.3905
Be16 Be 0.2563 0.1372 0.0889
Be17 Be 0.2900 0.0031 0.8775
Be18 Be 0.3016 0.4223 0.2478
Be19 Be 0.3248 0.4886 0.4959
Be20 Be 0.3293 0.2506 0.6524
Be21 Be 0.3568 0.6534 0.2210
Be22 Be 0.3605 0.5009 0.7810
Be23 Be 0.3897 0.3255 0.9976
Be24 Be 0.4321 0.0314 0.4532
Be25 Be 0.4458 0.7721 0.4983
Be26 Be 0.4574 0.1628 0.2273
Be27 Be 0.4659 0.7620 0.7629
Be28 Be 0.4665 0.8880 0.2115
Be29 Be 0.5247 0.7621 0.0251
Be30 Be 0.5292 0.0263 0.6834
Be31 Be 0.5559 0.2820 0.4794
Be32 Be 0.5845 0.5210 0.3357
Be33 Be 0.5975 0.2996 0.7637
Be34 Be 0.6007 0.5457 0.6132
Be35 Be 0.6348 0.5180 0.8933
Be36 Be 0.6397 0.3277 0.1212
Be37 Be 0.6772 0.8614 0.6014
Be38 Be 0.7300 0.0064 0.1285
Be39 Be 0.7452 0.8418 0.8659
Be40 Be 0.7594 0.7746 0.2226
Be41 Be 0.7802 0.2788 0.3153
Be42 Be 0.7938 0.0786 0.8152
Be43 Be 0.8240 0.5521 0.2655
Be44 Be 0.8359 0.3749 0.5451
Be45 Be 0.8401 0.6571 0.4733
Be46 Be 0.8741 0.3511 0.8735
Be47 Be 0.8773 0.9515 0.4206
Be48 Be 0.8880 0.6027 0.7350
Be49 Be 0.9255 0.5626 0.0076
Be50 Be 0.9536 0.8858 0.6845
O1 O 0.0053 0.3323 0.5382
O2 O 0.0177 0.0526 0.4152
O3 O 0.0406 0.3319 0.7944
O4 O 0.0508 0.5816 0.6760
O5 O 0.0679 0.1035 0.1231
O6 O 0.0825 0.6188 0.9442
O7 O 0.1252 0.8443 0.6910
O8 O 0.1289 0.8331 0.2486
O9 O 0.1456 0.9065 0.9580
O10 O 0.1910 0.1401 0.6375
O11 O 0.1917 0.5658 0.1822
O12 O 0.2258 0.3960 0.3881
O13 O 0.2810 0.4107 0.6511
O14 O 0.2821 0.6703 0.5052
O15 O 0.2855 0.9447 0.4863
O16 O 0.2895 0.4498 0.9352
O17 O 0.3047 0.1587 0.9333
O18 O 0.3244 0.6641 0.7711
O19 O 0.3419 0.2788 0.1539
O20 O 0.3562 0.7403 0.0674
O21 O 0.3580 0.0068 0.1599
O22 O 0.3883 0.9439 0.7575
O23 O 0.4145 0.7879 0.3256
O24 O 0.4506 0.5240 0.2404
O25 O 0.4573 0.1753 0.3835
O26 O 0.4959 0.2020 0.6618
O27 O 0.5154 0.4590 0.4850
O28 O 0.5479 0.4662 0.7566
O29 O 0.5605 0.7187 0.6192
O30 O 0.5601 0.9568 0.5257
O31 O 0.5664 0.3886 0.9948
O32 O 0.5990 0.7242 0.8940
O33 O 0.6160 0.8522 0.1377
O34 O 0.6476 0.1602 0.1712
O35 O 0.6789 0.9564 0.7511
O36 O 0.7066 0.4181 0.2460
O37 O 0.7116 0.6654 0.3476
O38 O 0.7306 0.2674 0.4677
O39 O 0.7473 0.2415 0.8175
O40 O 0.7852 0.5366 0.5945
O41 O 0.8156 0.5178 0.8752
O42 O 0.8223 0.9833 0.9829
O43 O 0.8431 0.9319 0.2602
O44 O 0.8469 0.8394 0.5387
O45 O 0.8810 0.6525 0.1422
O46 O 0.8899 0.7721 0.7991
O47 O 0.9513 0.0507 0.7523
O48 O 0.9526 0.3014 0.2830
O49 O 0.9704 0.5776 0.3717
O50 O 0.9742 0.3727 0.0247
```

total energy after the MP2020 corrections = -14.38 eV/f.u.
V = 8.0 A^3/atom

***

# 6
A relaxed structure of BeO. Source: Materials Project, functional GGA-PBE.

Structure (CIF):
```
data_BeO
_cell_length_a 2.7097
_cell_length_b 2.7097
_cell_length_c 4.4020
_cell_angle_alpha 90.00
_cell_angle_beta 90.00
_cell_angle_gamma 120.00
_symmetry_space_group_name_H-M 'P 1'
_symmetry_Int_Tables_number 1
loop_
_symmetry_equiv_pos_as_xyz
'x,y,z'
loop_
_atom_site_label
_atom_site_type_symbol
_atom_site_fract_x
_atom_site_fract_y
_atom_site_fract_z
Be1 Be 0.3333 0.6667 0.0000
Be2 Be 0.6667 0.3333 0.5000
O1 O 0.3333 0.6667 0.6222
O2 O 0.6667 0.3333 0.1222
```

total energy after the MP2020 corrections = -14.89 eV/f.u.
piezoelectric modulus e_max = 0.25 C/m2
V = 7.0 A^3/atom

***

Number 1: energy above the most stable polymorph in this dataset 31.5 kJ per mole of atoms. Number 2: energy above the most stable polymorph in this dataset 0.6 kJ per mole of atoms. Number 3: energy above the most stable polymorph in this dataset 30.0 kJ per mole of atoms. Number 4: energy above the most stable polymorph in this dataset 25.5 kJ per mole of atoms. Number 5: energy above the most stable polymorph in this dataset 24.8 kJ per mole of atoms. Number 6: energy above the most stable polymorph in this dataset 0.0 kJ per mole of atoms.